[1]
## CaSn4O9 (PBE)

Data for crystalline CaSn4O9 at its relaxed geometry.

```
CaSn4O9
1.0
8.313 0.000 0.000
0.000 8.313 0.000
0.000 0.000 5.114
Sn O Ca
8 18 2
Direct
0.187 0.891 0.731
0.109 0.187 0.269
0.609 0.687 0.731
0.391 0.313 0.731
0.891 0.813 0.269
0.813 0.109 0.731
0.313 0.609 0.269
0.687 0.391 0.269
0.289 0.108 0.571
0.892 0.289 0.429
0.497 0.737 0.083
0.608 0.211 0.571
0.997 0.237 0.917
0.737 0.503 0.917
0.500 0.500 0.500
0.108 0.711 0.429
0.392 0.789 0.571
0.237 0.003 0.083
0.000 0.000 0.500
0.503 0.263 0.083
0.211 0.392 0.429
0.003 0.763 0.917
0.763 0.997 0.083
0.789 0.608 0.429
0.711 0.892 0.571
0.263 0.497 0.917
0.000 0.500 0.723
0.500 0.000 0.277
```

formation energy	-49.72	kcal/mol of atoms
SG	P4/n, No. 85
calculated total energy	-6.184	eV per atom

***

[2]
## CaSnO3 (PBE)

Data for crystalline CaSnO3 at its relaxed geometry.

```
CaSnO3
1.0
-3.630 -0.370 1.794
1.541 -2.770 2.547
0.990 2.954 2.613
O Sn Ca
3 1 1
Direct
0.500 0.000 0.500
0.000 0.500 0.500
0.500 0.500 0.000
0.500 0.500 0.500
0.000 0.000 0.000
```

formation energy	-57.29	kcal/mol of atoms
SG	Pm-3m, No. 221
calculated total energy	-6.244	eV per atom

***

[3]
## CaSnO2 (PBE)

Data for crystalline CaSnO2 at its relaxed geometry.

```
CaSnO2
1.0
3.600 0.000 0.000
1.608 8.765 0.000
0.698 0.072 10.466
O Ca Sn
8 4 4
Direct
0.491 0.893 0.232
0.312 0.379 0.438
0.509 0.107 0.768
0.129 0.802 0.800
0.848 0.385 0.789
0.688 0.621 0.562
0.871 0.198 0.200
0.152 0.615 0.211
0.700 0.657 0.772
0.802 0.357 0.559
0.198 0.643 0.441
0.300 0.343 0.228
0.084 0.989 0.687
0.627 0.708 0.111
0.916 0.011 0.313
0.373 0.292 0.889
```

formation energy	-53.03	kcal/mol of atoms
SG	P-1, No. 2
calculated total energy	-5.934	eV per atom

***

[4]
## CaSn4O6 (PBE)

Data for crystalline CaSn4O6 at its relaxed geometry.

```
CaSn4O6
1.0
5.153 2.209 1.240
-5.592 0.003 1.304
2.725 -12.929 11.716
Sn Ca O
8 2 12
Direct
0.143 0.857 0.054
0.404 0.596 0.140
0.143 0.857 0.446
0.404 0.596 0.360
0.596 0.404 0.860
0.857 0.143 0.554
0.596 0.404 0.640
0.857 0.143 0.946
0.323 0.677 0.750
0.677 0.323 0.250
0.956 0.044 0.663
0.500 0.500 0.500
0.768 0.232 0.373
0.768 0.232 0.127
0.334 0.666 0.250
0.956 0.044 0.837
0.666 0.334 0.750
0.044 0.956 0.337
0.500 0.500 0.000
0.232 0.768 0.627
0.044 0.956 0.163
0.232 0.768 0.873
```

formation energy	-41.51	kcal/mol of atoms
SG	Cmcm, No. 63
calculated total energy	-5.765	eV per atom

***

[5]
## CaSnO2 (PBE)

Data for crystalline CaSnO2 at its relaxed geometry.

```
CaSnO2
1.0
-1.516 -0.794 -2.815
6.819 -4.407 -4.113
-2.209 -8.991 1.885
Ca Sn O
4 4 8
Direct
0.149 0.237 0.400
0.851 0.763 0.600
0.006 0.067 0.764
0.994 0.933 0.236
0.389 0.688 0.949
0.611 0.312 0.051
0.338 0.388 0.674
0.662 0.612 0.326
0.381 0.600 0.723
0.600 0.164 0.576
0.431 0.123 0.194
0.606 0.771 0.132
0.619 0.400 0.277
0.400 0.836 0.424
0.569 0.877 0.806
0.394 0.229 0.868
```

formation energy	-52.19	kcal/mol of atoms
SG	P-1, No. 2
calculated total energy	-5.897	eV per atom

***

[6]
## CaSnO3 (PBE)

Data for crystalline CaSnO3 at its relaxed geometry.

```
CaSnO3
1.0
5.583 0.000 0.000
0.000 5.756 0.000
0.000 0.000 8.001
O Sn Ca
12 4 4
Direct
0.197 0.200 0.944
0.697 0.300 0.056
0.697 0.300 0.444
0.107 0.458 0.250
0.803 0.800 0.056
0.393 0.958 0.250
0.607 0.042 0.750
0.893 0.542 0.750
0.303 0.700 0.944
0.803 0.800 0.444
0.303 0.700 0.556
0.197 0.200 0.556
0.000 0.500 0.000
0.000 0.500 0.500
0.500 0.000 0.500
0.500 0.000 0.000
0.486 0.447 0.750
0.014 0.947 0.750
0.514 0.553 0.250
0.986 0.053 0.250
```

formation energy	-61.47	kcal/mol of atoms
SG	Pnma, No. 62
calculated total energy	-6.425	eV per atom

***

[7]
## CaSnO2 (PBE)

Data for crystalline CaSnO2 at its relaxed geometry.

```
CaSnO2
1.0
3.359 0.000 0.000
-1.644 8.930 0.000
-1.344 -1.461 8.997
Sn O Ca
4 8 4
Direct
0.503 0.432 0.791
0.425 0.682 0.554
0.406 0.636 0.170
0.597 0.319 0.428
0.507 0.155 0.218
0.606 0.866 0.742
0.840 0.501 0.199
0.459 0.800 0.360
0.407 0.231 0.886
0.733 0.807 0.079
0.129 0.542 0.930
0.367 0.119 0.524
0.977 0.261 0.077
0.153 0.809 0.899
0.908 0.087 0.681
0.012 0.978 0.301
```

formation energy	-53.68	kcal/mol of atoms
SG	P1, No. 1
calculated total energy	-5.962	eV per atom

***

[8]
## SrCa3Sn4O12 (PBE)

Data for crystalline SrCa3Sn4O12 at its relaxed geometry.

```
SrCa3Sn4O12
1.0
8.051 0.000 0.000
0.000 5.638 0.000
0.000 0.003 5.768
O Sn Ca Sr
12 4 3 1
Direct
0.000 0.919 0.540
0.305 0.698 0.300
0.801 0.195 0.199
0.500 0.398 0.963
0.000 0.603 0.022
0.500 0.104 0.458
0.199 0.195 0.199
0.305 0.799 0.797
0.206 0.295 0.708
0.794 0.295 0.708
0.695 0.698 0.300
0.695 0.799 0.797
0.252 0.500 0.001
0.253 0.000 0.500
0.748 0.500 0.001
0.747 0.000 0.500
0.000 0.014 0.950
0.500 0.511 0.552
0.500 0.991 0.047
0.000 0.489 0.458
```

formation energy	-61.15	kcal/mol of atoms
SG	Pm, No. 6
calculated total energy	-6.396	eV per atom

***

[9]
## Ca2TaSnO6 (PBE)

Data for crystalline Ca2TaSnO6 at its relaxed geometry.

```
Ca2TaSnO6
1.0
7.987 0.000 0.000
0.000 5.669 0.000
0.000 0.033 5.902
O Ca Sn Ta
12 4 2 2
Direct
0.444 0.289 0.675
0.558 0.831 0.787
0.750 0.392 0.957
0.058 0.169 0.213
0.942 0.831 0.787
0.250 0.895 0.541
0.250 0.608 0.043
0.556 0.711 0.325
0.944 0.711 0.325
0.056 0.289 0.675
0.442 0.169 0.213
0.750 0.105 0.459
0.750 0.989 0.051
0.250 0.011 0.949
0.750 0.513 0.557
0.250 0.487 0.443
0.500 0.500 0.000
0.000 0.500 0.000
0.500 0.000 0.500
0.000 0.000 0.500
```

formation energy	-68.97	kcal/mol of atoms
SG	P2_1/m, No. 11
calculated total energy	-7.535	eV per atom

***

[10]
## Ca4Sn5Te3O18 (PBE)

Data for crystalline Ca4Sn5Te3O18 at its relaxed geometry.

```
Ca4Sn5Te3O18
1.0
5.239 7.822 0.000
-5.239 7.822 0.000
0.000 0.546 11.845
O Sn Te Ca
36 10 6 8
Direct
0.163 0.585 0.658
0.918 0.934 0.675
0.164 0.306 0.172
0.557 0.598 0.557
0.218 0.896 0.599
0.603 0.850 0.072
0.622 0.175 0.728
0.306 0.164 0.672
0.214 0.913 0.088
0.598 0.557 0.057
0.082 0.066 0.325
0.104 0.782 0.901
0.397 0.150 0.928
0.934 0.918 0.175
0.175 0.622 0.228
0.850 0.603 0.572
0.913 0.214 0.588
0.087 0.786 0.412
0.896 0.218 0.099
0.150 0.397 0.428
0.408 0.125 0.334
0.592 0.875 0.666
0.875 0.592 0.166
0.378 0.825 0.272
0.125 0.408 0.834
0.825 0.378 0.772
0.402 0.443 0.943
0.786 0.087 0.912
0.443 0.402 0.443
0.836 0.694 0.828
0.837 0.415 0.342
0.066 0.082 0.825
0.694 0.836 0.328
0.415 0.837 0.842
0.585 0.163 0.158
0.782 0.104 0.401
0.539 0.099 0.588
0.099 0.539 0.088
0.461 0.901 0.412
0.160 0.840 0.250
0.901 0.461 0.912
0.268 0.980 0.740
0.020 0.732 0.760
0.732 0.020 0.260
0.980 0.268 0.240
0.840 0.160 0.750
0.672 0.650 0.669
0.350 0.328 0.831
0.000 0.000 0.500
0.000 0.000 0.000
0.328 0.350 0.331
0.650 0.672 0.169
0.619 0.931 0.875
0.931 0.619 0.375
0.381 0.069 0.125
0.305 0.641 0.526
0.641 0.305 0.026
0.069 0.381 0.625
0.695 0.359 0.474
0.359 0.695 0.974
```

formation energy	-48.97	kcal/mol of atoms
SG	C2/c, No. 15
calculated total energy	-5.930	eV per atom

***

[11]
## CaZrTiSnO6 (PBE)

Data for crystalline CaZrTiSnO6 at its relaxed geometry.

```
CaZrTiSnO6
1.0
0.000 -4.047 -4.047
4.047 0.000 -4.047
4.047 -4.047 0.000
O Ca Zr Sn Ti
6 1 1 1 1
Direct
0.242 0.242 0.758
0.242 0.758 0.242
0.758 0.242 0.242
0.758 0.242 0.758
0.242 0.758 0.758
0.758 0.758 0.242
0.250 0.250 0.250
0.500 0.500 0.500
0.750 0.750 0.750
0.000 0.000 0.000
```

formation energy	-70.52	kcal/mol of atoms
SG	F-43m, No. 216
calculated total energy	-7.861	eV per atom

***

[12]
## Ca2YSnO5 (PBE)

Data for crystalline Ca2YSnO5 at its relaxed geometry.

```
Ca2YSnO5
1.0
0.550 -1.831 -5.658
-0.648 5.674 -1.971
7.703 -0.876 3.996
O Y Sn Ca
10 2 2 4
Direct
0.388 0.819 0.486
0.990 0.349 0.385
0.790 0.737 0.245
0.979 0.917 0.704
0.306 0.813 0.066
0.588 0.325 0.504
0.582 0.196 0.849
0.724 0.679 0.893
0.437 0.387 0.168
0.223 0.458 0.761
0.280 0.192 0.534
0.723 0.639 0.456
0.506 0.519 0.999
0.990 0.966 0.970
0.638 0.089 0.239
0.372 0.819 0.747
0.863 0.318 0.753
0.127 0.551 0.246
```

maximum piezoelectric response	2.8	C/m²
formation energy	-68.54	kcal/mol of atoms
SG	P1, No. 1
calculated total energy	-6.949	eV per atom

***

[13]
## Ca2ZrSnO6 (PBE)

Data for crystalline Ca2ZrSnO6 at its relaxed geometry.

```
Ca2ZrSnO6
1.0
0.000 -4.111 -4.111
4.111 0.000 -4.111
4.111 -4.111 0.000
Sn Zr Ca O
1 1 2 6
Direct
0.000 0.000 0.000
0.500 0.500 0.500
0.750 0.750 0.750
0.250 0.250 0.250
0.752 0.248 0.752
0.248 0.248 0.752
0.752 0.248 0.248
0.248 0.752 0.248
0.752 0.752 0.248
0.248 0.752 0.752
```

formation energy	-69.37	kcal/mol of atoms
SG	Fm-3m, No. 225
calculated total energy	-7.221	eV per atom

***

[14]
## Sr3CaO4 (PBE)

Data for crystalline Sr3CaO4 at its relaxed geometry.

```
Sr3CaO4
1.0
-1.852 -4.494 -1.635
0.656 -1.976 4.687
-4.737 1.484 1.288
O Sr Ca
4 3 1
Direct
0.500 0.000 0.500
0.000 0.500 0.500
0.500 0.500 0.000
0.000 0.000 0.000
0.000 0.000 0.500
0.000 0.500 0.000
0.500 0.000 0.000
0.500 0.500 0.500
```

formation energy	-71.50	kcal/mol of atoms
SG	Pm-3m, No. 221
calculated total energy	-6.115	eV per atom

***

[15]
## SrCaO2 (PBE)

Data for crystalline SrCaO2 at its relaxed geometry.

```
SrCaO2
1.0
3.566 0.000 0.000
0.000 3.566 0.000
0.000 0.000 5.040
O Sr Ca
2 1 1
Direct
0.000 0.000 0.000
0.500 0.500 0.500
0.500 0.500 0.000
0.000 0.000 0.500
```

formation energy	-72.47	kcal/mol of atoms
SG	P4/mmm, No. 123
calculated total energy	-6.197	eV per atom

***

[16]
## SrCaTbTiO6 (PBE)

Data for crystalline SrCaTbTiO6 at its relaxed geometry.

```
SrCaTbTiO6
1.0
3.221 0.600 -4.882
1.589 -4.752 -3.076
-2.413 -1.039 -5.260
O Tb Ti Sr Ca
6 1 1 1 1
Direct
0.265 0.735 0.265
0.735 0.265 0.265
0.265 0.735 0.735
0.735 0.735 0.265
0.735 0.265 0.735
0.265 0.265 0.735
0.000 0.000 0.000
0.500 0.500 0.500
0.250 0.250 0.250
0.750 0.750 0.750
```

formation energy	-74.55	kcal/mol of atoms
SG	F-43m, No. 216
calculated total energy	-7.412	eV per atom